## ZnS (PBE)

Data for an optimized crystal structure of ZnS.

a = 3.853 Å, b = 3.853 Å, c = 75.588 Å
α = 90.00°, β = 90.00°, γ = 120.00°
Fractional positions:
1 Zn 0.000 0.000 0.000
2 Zn 0.000 0.000 0.083
3 Zn 0.000 0.000 0.208
4 Zn 0.000 0.000 0.333
5 Zn 0.000 0.000 0.458
6 Zn 0.000 0.000 0.583
7 Zn 0.000 0.000 0.750
8 Zn 0.000 0.000 0.833
9 Zn 0.333 0.667 0.042
10 Zn 0.333 0.667 0.167
11 Zn 0.333 0.667 0.250
12 Zn 0.333 0.667 0.375
13 Zn 0.333 0.667 0.542
14 Zn 0.333 0.667 0.667
15 Zn 0.333 0.667 0.792
16 Zn 0.333 0.667 0.917
17 Zn 0.667 0.333 0.125
18 Zn 0.667 0.333 0.292
19 Zn 0.667 0.333 0.417
20 Zn 0.667 0.333 0.500
21 Zn 0.667 0.333 0.625
22 Zn 0.667 0.333 0.708
23 Zn 0.667 0.333 0.875
24 Zn 0.667 0.333 0.958
25 S 0.000 0.000 0.031
26 S 0.000 0.000 0.115
27 S 0.000 0.000 0.240
28 S 0.000 0.000 0.365
29 S 0.000 0.000 0.490
30 S 0.000 0.000 0.615
31 S 0.000 0.000 0.781
32 S 0.000 0.000 0.865
33 S 0.333 0.667 0.073
34 S 0.333 0.667 0.198
35 S 0.333 0.667 0.281
36 S 0.333 0.667 0.406
37 S 0.333 0.667 0.573
38 S 0.333 0.667 0.698
39 S 0.333 0.667 0.823
40 S 0.333 0.667 0.948
41 S 0.667 0.333 0.156
42 S 0.667 0.333 0.323
43 S 0.667 0.333 0.448
44 S 0.667 0.333 0.531
45 S 0.667 0.333 0.656
46 S 0.667 0.333 0.740
47 S 0.667 0.333 0.906
48 S 0.667 0.333 0.990

Properties
Formation enthalpy at 0 K: -1.06 eV per atom
Crystal system: trigonal